No. 1
Compound: Rb2MgH8C2O10
Source: the Materials Project database
Functional: PBE-GGA
Structure: relaxed

Calculated values
Formation enthalpy at 0 K ... -1.766 eV/atom
Symmetry ... No. 14
Theoretical density ... 2.46 g/cm³

```
46
Lattice="-5.727 -0.035 3.121 -3.375 -1.192 -6.205 -1.521 -11.905 -2.923" Properties=species:S:1:pos:R:3 pbc="T T T"
O -7.955 -8.760 -5.184
O -6.022 -4.192 -3.273
O -7.143 -11.447 -1.900
O -8.955 -11.897 -5.649
O -8.799 -10.157 -3.636
O -4.600 -8.939 -2.734
O -7.794 -2.811 -3.396
O -1.824 -2.974 -2.371
O -2.078 -5.163 -2.857
O -3.479 -1.685 -4.107
O -5.174 -7.643 -5.059
O -1.668 -1.234 -0.357
O -5.448 -5.488 -0.947
O -7.614 -5.941 -4.504
O -4.851 -11.128 -3.221
O -3.008 -7.190 -1.502
O -2.668 -4.372 -0.822
O -8.545 -7.968 -3.149
O -2.829 -10.321 -2.610
O -5.772 -2.004 -2.785
H -7.840 -10.990 -2.449
H -3.616 -7.809 -2.021
H -2.783 -2.142 -3.557
H -6.273 -11.260 -2.370
H -8.235 -12.616 -5.620
H -8.854 -11.281 -4.855
H -2.388 -0.515 -0.386
H -1.769 -1.850 -1.152
H -7.973 -6.666 -3.887
H -5.086 -8.104 -4.178
H -7.007 -5.322 -3.985
H -5.537 -5.028 -1.828
H -4.305 -7.819 -5.536
H -4.349 -1.871 -3.636
H -2.650 -6.465 -2.120
H -6.317 -5.312 -0.470
C -4.086 -10.130 -2.854
C -2.193 -4.170 -2.010
C -6.537 -3.002 -3.152
C -8.430 -8.961 -3.996
Rb -5.809 -10.720 -5.978
Rb -3.879 -4.760 -5.153
Rb -4.814 -2.411 -0.029
Rb -6.744 -8.371 -0.853
Mg 0.000 0.000 0.000
Mg -3.624 -5.970 0.099
```



No. 2
Compound: MgH12C4S4O6
Source: the Materials Project database
Functional: PBE-GGA
Structure: relaxed

Calculated values
Formation enthalpy at 0 K ... -0.932 eV/atom
Symmetry ... No. 15
Theoretical density ... 1.52 g/cm³

```
54
Lattice="0.000 -5.913 0.000 -8.750 2.956 0.000 3.203 0.000 -13.078" Properties=species:S:1:pos:R:3 pbc="T T T"
H -4.060 -0.775 -10.556
H -5.662 0.775 -4.017
H -1.477 -4.974 -3.619
H -7.138 -1.417 -0.759
H 0.115 -3.731 -9.061
H -4.435 1.939 -11.013
H 1.591 -1.540 -12.319
H -0.010 -4.373 -5.780
H 1.077 -4.899 -9.550
H -5.672 -2.018 -2.920
H 1.835 -3.131 -12.375
H -6.624 1.943 -3.528
H -5.537 1.417 -7.298
H -1.487 -2.181 -2.522
H 0.489 -1.017 -8.604
H 0.124 -0.938 -10.158
H 0.234 -2.781 -5.836
H -5.022 -1.943 -10.067
H -5.781 -0.175 -7.242
H -7.382 0.175 -0.703
H -4.070 2.018 -9.459
H -0.525 -1.013 -3.011
H -6.036 -1.939 -4.474
H -1.112 -4.896 -2.065
O 1.014 -3.927 -9.411
O -7.537 -0.640 -1.229
O -6.561 0.971 -3.667
O -6.439 -1.996 -3.561
O -4.837 1.996 -10.100
O -4.959 -0.971 -10.206
O 0.892 -0.960 -9.517
O 1.990 -2.316 -11.849
O -5.935 0.640 -7.768
O 0.388 -3.597 -5.310
O -0.588 -1.986 -2.872
O -0.710 -4.953 -2.978
S -1.829 0.604 -0.020
S -1.794 -0.366 -11.212
S -0.228 -0.604 -6.559
S -3.753 -2.590 -1.866
S -5.319 -2.353 -6.519
S -3.396 0.366 -4.673
S -2.151 -3.323 -8.405
S -3.718 -3.560 -13.058
C -2.531 -2.187 -7.260
C -3.744 -1.820 -6.531
C -3.404 1.137 -0.008
C -4.133 -3.725 -0.721
C -3.016 -0.769 -5.818
C -1.803 -1.137 -6.547
C -2.143 -4.093 -13.070
C -1.414 0.769 -12.357
Mg 2.402 -2.428 -9.808
Mg 0.801 -3.485 -3.269
```



No. 3
Compound: SrMgUH24C3O23
Source: the Materials Project database
Functional: PBE-GGA
Structure: relaxed

Calculated values
Formation enthalpy at 0 K ... -1.713 eV/atom
Symmetry ... No. 11
Theoretical density ... 2.38 g/cm³

```
106
Lattice="14.826 0.000 0.000 0.000 6.551 0.000 0.000 1.937 11.201" Properties=species:S:1:pos:R:3 pbc="T T T"
H 14.061 1.153 4.257
H 7.896 6.071 2.700
H 9.920 3.511 3.020
H 12.319 3.511 3.020
H 7.331 2.377 1.500
H 0.765 7.335 6.944
H 7.746 3.661 9.057
H 2.179 1.396 0.146
H 5.234 1.396 0.146
H 6.930 2.418 8.500
H 8.631 2.387 0.579
H 11.120 6.308 1.336
H 4.962 0.232 1.135
H 0.082 2.377 1.500
H 7.495 6.112 9.700
H 1.218 6.102 10.622
H 3.707 7.354 9.148
H 14.744 6.112 9.700
H 6.731 2.170 6.205
H 14.145 6.319 4.996
H 14.494 3.661 9.057
H 11.120 1.135 2.053
H 0.483 2.418 8.500
H 3.707 6.534 4.466
H 0.682 2.170 6.205
H 6.648 7.335 6.944
H 2.507 4.978 8.181
H 13.608 2.387 0.579
H 4.906 4.978 8.181
H 8.770 3.563 4.108
H 8.095 6.319 4.996
H 8.178 1.153 4.257
H 9.864 8.257 10.065
H 14.343 6.071 2.700
H 3.707 5.910 5.899
H 11.120 2.579 5.301
H 6.056 4.926 7.093
H 0.333 4.827 2.144
H 1.357 4.926 7.093
H 6.195 6.102 10.622
H 9.592 7.093 11.055
H 12.647 7.093 11.055
H 2.451 0.232 1.135
H 3.707 2.181 9.865
H 13.470 3.563 4.108
H 7.081 4.827 2.144
H 11.120 1.954 6.735
H 12.375 8.257 10.065
O 4.811 3.335 0.203
O 7.889 1.819 0.906
O 7.332 2.809 9.325
O 3.707 1.540 2.339
O 1.197 3.286 2.611
O 5.179 4.539 7.345
O 6.362 1.725 7.017
O 6.938 6.669 10.294
O 11.120 6.711 2.219
O 5.339 0.421 0.253
O 2.602 3.335 0.203
O 0.475 6.669 10.294
O 10.015 5.154 10.998
O 8.464 6.763 4.184
O 14.660 5.720 6.622
O 14.745 5.680 1.876
O 9.647 3.949 3.856
O 7.247 2.768 4.579
O 12.439 5.327 6.743
O 12.593 3.949 3.856
O 11.120 6.948 8.862
O 14.351 1.819 0.906
O 2.387 3.162 4.458
O 0.081 2.809 9.325
O 9.487 8.067 10.948
O 3.707 1.778 8.982
O 9.800 5.327 6.743
O 12.224 5.154 10.998
O 5.026 3.162 4.458
O 13.775 6.763 4.184
O 2.074 0.421 0.253
O 11.120 3.297 8.701
O 12.752 8.067 10.948
O 2.234 4.539 7.345
O 1.051 1.725 7.017
O 7.579 5.720 6.622
O 3.707 5.192 2.499
O 11.120 2.882 1.750
O 3.707 6.759 5.416
O 6.216 3.286 2.611
O 11.120 1.730 5.785
O 3.707 5.606 9.451
O 7.494 5.680 1.876
O 8.610 5.203 8.590
O 13.629 5.203 8.590
O 0.166 2.768 4.579
C 8.619 5.426 7.291
C 11.120 3.099 0.501
C 1.206 3.062 3.909
C 13.620 5.426 7.291
C 6.207 3.062 3.909
C 3.707 5.390 10.699
Mg 7.413 0.000 0.000
Mg 0.000 0.000 0.000
Sr 3.707 2.530 6.611
Sr 11.120 5.959 4.590
U 3.707 3.365 2.436
U 11.120 5.124 8.765
```



No. 4
Compound: Mg3ZnH24C8O24
Source: the Materials Project database
Functional: PBE-GGA
Structure: relaxed

Calculated values
Formation enthalpy at 0 K ... -1.455 eV/atom
Symmetry ... No. 2
Theoretical density ... 1.76 g/cm³

```
60
Lattice="-4.342 -5.868 -0.221 6.878 -5.156 2.073 -2.890 1.823 8.857" Properties=species:S:1:pos:R:3 pbc="T T T"
O 1.415 -2.168 3.459
O -3.161 -1.489 6.245
O -1.244 -2.900 7.829
O -1.822 -3.101 4.175
O -2.913 -4.475 0.649
O 0.501 -3.782 10.243
O -0.856 -5.418 0.465
O -0.448 -0.699 1.892
O 0.889 -6.300 2.879
O -0.471 -6.878 4.581
O -1.674 -5.644 9.022
O -4.526 -3.821 5.048
O 4.171 -5.379 5.660
O -1.305 0.414 8.676
O 0.117 -2.322 6.128
O 0.950 -9.614 2.032
O 1.320 -3.556 1.686
O -1.770 -7.032 7.249
O 2.806 -7.711 4.464
O 0.094 -8.501 8.816
O -3.048 -5.528 4.858
O 1.467 -6.099 6.533
O 2.693 -3.672 5.850
O 2.559 -4.725 10.059
H -1.124 -2.836 4.825
H -4.871 -4.907 8.758
H -0.635 0.117 5.687
H 0.776 -2.700 8.011
H 1.813 -4.164 3.561
H 0.280 -9.317 5.021
H -2.520 -2.001 6.791
H -3.572 -0.806 6.830
H 2.165 -7.199 3.918
H -2.168 -5.036 7.147
H -0.579 -8.034 8.267
H 0.769 -6.364 5.883
H -1.131 -6.500 2.698
H 1.056 -8.869 1.386
H 3.217 -8.394 3.879
H -1.200 -3.534 1.155
H -1.240 -0.506 2.454
H 4.516 -4.293 1.950
H -1.411 -0.331 9.323
H 0.845 -5.666 9.553
H 0.885 -8.694 8.255
H 0.225 -1.166 2.441
H -2.091 -4.033 4.393
H 1.737 -5.167 6.316
C -1.880 -5.886 7.789
C -4.202 -5.043 5.127
C 1.525 -3.314 2.919
C 1.296 -4.740 9.950
C 3.847 -4.157 5.581
C -0.097 -2.644 7.340
C -0.257 -6.556 3.368
C -1.650 -4.460 0.758
Mg -3.616 -2.022 4.318
Mg 1.994 -1.666 5.465
Mg 1.268 -5.512 0.926
Zn 0.000 0.000 0.000
```



Question: Among the records above, which one has the highest formation enthalpy at 0 K?
Answer: MgH12C4S4O6



Copy entry 1 word for word.
Compound: Rb2MgH8C2O10
Source: the Materials Project database
Functional: PBE-GGA
Structure: relaxed

Calculated values
Formation enthalpy at 0 K ... -1.766 eV/atom
Symmetry ... No. 14
Theoretical density ... 2.46 g/cm³

```
46
Lattice="-5.727 -0.035 3.121 -3.375 -1.192 -6.205 -1.521 -11.905 -2.923" Properties=species:S:1:pos:R:3 pbc="T T T"
O -7.955 -8.760 -5.184
O -6.022 -4.192 -3.273
O -7.143 -11.447 -1.900
O -8.955 -11.897 -5.649
O -8.799 -10.157 -3.636
O -4.600 -8.939 -2.734
O -7.794 -2.811 -3.396
O -1.824 -2.974 -2.371
O -2.078 -5.163 -2.857
O -3.479 -1.685 -4.107
O -5.174 -7.643 -5.059
O -1.668 -1.234 -0.357
O -5.448 -5.488 -0.947
O -7.614 -5.941 -4.504
O -4.851 -11.128 -3.221
O -3.008 -7.190 -1.502
O -2.668 -4.372 -0.822
O -8.545 -7.968 -3.149
O -2.829 -10.321 -2.610
O -5.772 -2.004 -2.785
H -7.840 -10.990 -2.449
H -3.616 -7.809 -2.021
H -2.783 -2.142 -3.557
H -6.273 -11.260 -2.370
H -8.235 -12.616 -5.620
H -8.854 -11.281 -4.855
H -2.388 -0.515 -0.386
H -1.769 -1.850 -1.152
H -7.973 -6.666 -3.887
H -5.086 -8.104 -4.178
H -7.007 -5.322 -3.985
H -5.537 -5.028 -1.828
H -4.305 -7.819 -5.536
H -4.349 -1.871 -3.636
H -2.650 -6.465 -2.120
H -6.317 -5.312 -0.470
C -4.086 -10.130 -2.854
C -2.193 -4.170 -2.010
C -6.537 -3.002 -3.152
C -8.430 -8.961 -3.996
Rb -5.809 -10.720 -5.978
Rb -3.879 -4.760 -5.153
Rb -4.814 -2.411 -0.029
Rb -6.744 -8.371 -0.853
Mg 0.000 0.000 0.000
Mg -3.624 -5.970 0.099
```



Repeat the fourth record exactly.
Compound: Mg3ZnH24C8O24
Source: the Materials Project database
Functional: PBE-GGA
Structure: relaxed

Calculated values
Formation enthalpy at 0 K ... -1.455 eV/atom
Symmetry ... No. 2
Theoretical density ... 1.76 g/cm³

```
60
Lattice="-4.342 -5.868 -0.221 6.878 -5.156 2.073 -2.890 1.823 8.857" Properties=species:S:1:pos:R:3 pbc="T T T"
O 1.415 -2.168 3.459
O -3.161 -1.489 6.245
O -1.244 -2.900 7.829
O -1.822 -3.101 4.175
O -2.913 -4.475 0.649
O 0.501 -3.782 10.243
O -0.856 -5.418 0.465
O -0.448 -0.699 1.892
O 0.889 -6.300 2.879
O -0.471 -6.878 4.581
O -1.674 -5.644 9.022
O -4.526 -3.821 5.048
O 4.171 -5.379 5.660
O -1.305 0.414 8.676
O 0.117 -2.322 6.128
O 0.950 -9.614 2.032
O 1.320 -3.556 1.686
O -1.770 -7.032 7.249
O 2.806 -7.711 4.464
O 0.094 -8.501 8.816
O -3.048 -5.528 4.858
O 1.467 -6.099 6.533
O 2.693 -3.672 5.850
O 2.559 -4.725 10.059
H -1.124 -2.836 4.825
H -4.871 -4.907 8.758
H -0.635 0.117 5.687
H 0.776 -2.700 8.011
H 1.813 -4.164 3.561
H 0.280 -9.317 5.021
H -2.520 -2.001 6.791
H -3.572 -0.806 6.830
H 2.165 -7.199 3.918
H -2.168 -5.036 7.147
H -0.579 -8.034 8.267
H 0.769 -6.364 5.883
H -1.131 -6.500 2.698
H 1.056 -8.869 1.386
H 3.217 -8.394 3.879
H -1.200 -3.534 1.155
H -1.240 -0.506 2.454
H 4.516 -4.293 1.950
H -1.411 -0.331 9.323
H 0.845 -5.666 9.553
H 0.885 -8.694 8.255
H 0.225 -1.166 2.441
H -2.091 -4.033 4.393
H 1.737 -5.167 6.316
C -1.880 -5.886 7.789
C -4.202 -5.043 5.127
C 1.525 -3.314 2.919
C 1.296 -4.740 9.950
C 3.847 -4.157 5.581
C -0.097 -2.644 7.340
C -0.257 -6.556 3.368
C -1.650 -4.460 0.758
Mg -3.616 -2.022 4.318
Mg 1.994 -1.666 5.465
Mg 1.268 -5.512 0.926
Zn 0.000 0.000 0.000
```